1.
Below is a relaxed structure of K4Hf3MnP6O24, with properties calculated at the PBE+U level.

a b c (Å): 10.3026 10.2829 10.3031
angles (deg): 90.00 90.01 90.00
Fractional positions:
K1 0.0423 0.0000 0.1894
K2 0.1775 0.2689 0.5711
K3 0.3079 0.6379 0.0601
K4 0.4429 0.9013 0.7109
K5 0.5571 0.4013 0.2891
K6 0.6921 0.1379 0.9399
K7 0.8225 0.7689 0.4289
K8 0.9577 0.5000 0.8106
Hf1 0.1608 0.6131 0.4134
Hf2 0.3324 0.2847 0.9146
Hf3 0.3931 0.0574 0.3547
Hf4 0.6069 0.5574 0.6453
Hf5 0.6676 0.7847 0.0854
Hf6 0.8392 0.1131 0.5866
Mn1 0.1017 0.8480 0.8544
Mn2 0.8983 0.3480 0.1456
P1 0.0175 0.1616 0.8763
P2 0.1278 0.9315 0.5393
P3 0.2105 0.3241 0.2322
P4 0.2877 0.5734 0.7288
P5 0.3787 0.9702 0.0379
P6 0.4791 0.7389 0.3734
P7 0.5209 0.2389 0.6266
P8 0.6213 0.4702 0.9621
P9 0.7123 0.0734 0.2712
P10 0.7895 0.8241 0.7678
P11 0.8722 0.4315 0.4607
P12 0.9825 0.6616 0.1237
O1 0.0031 0.5059 0.4797
O2 0.0116 0.0221 0.9253
O3 0.0506 0.7574 0.0345
O4 0.0517 0.6732 0.2602
O5 0.0740 0.2708 0.2417
O6 0.1053 0.7894 0.4926
O7 0.1622 0.2056 0.8520
O8 0.1804 0.9402 0.6761
O9 0.2056 0.6722 0.7988
O10 0.2251 0.9985 0.4432
O11 0.2286 0.4546 0.3075
O12 0.2449 0.5507 0.5855
O13 0.2571 0.3467 0.0901
O14 0.2756 0.4405 0.8006
O15 0.2817 0.9009 0.9534
O16 0.3083 0.2277 0.2983
O17 0.3357 0.9711 0.1837
O18 0.3378 0.6936 0.3527
O19 0.4012 0.1142 0.9954
O20 0.4336 0.6152 0.7275
O21 0.4437 0.2214 0.7540
O22 0.4523 0.1531 0.5235
O23 0.4808 0.8826 0.4191
O24 0.4889 0.3979 0.9727
O25 0.5111 0.8979 0.0273
O26 0.5192 0.3826 0.5809
O27 0.5477 0.6531 0.4765
O28 0.5563 0.7214 0.2460
O29 0.5664 0.1152 0.2725
O30 0.5988 0.6142 0.0046
O31 0.6622 0.1936 0.6473
O32 0.6643 0.4711 0.8163
O33 0.6917 0.7277 0.7017
O34 0.7183 0.4009 0.0466
O35 0.7244 0.9405 0.1994
O36 0.7429 0.8467 0.9099
O37 0.7551 0.0507 0.4145
O38 0.7714 0.9546 0.6925
O39 0.7749 0.4985 0.5568
O40 0.7944 0.1722 0.2012
O41 0.8196 0.4402 0.3239
O42 0.8378 0.7056 0.1480
O43 0.8947 0.2894 0.5074
O44 0.9260 0.7708 0.7583
O45 0.9483 0.1732 0.7398
O46 0.9494 0.2574 0.9655
O47 0.9884 0.5221 0.0747
O48 0.9969 0.0059 0.5203

***

2.
Below is a relaxed structure of Mn5VO12, with properties calculated at the PBE+U level.

a b c (Å): 5.1013 5.1013 9.5008
angles (deg): 90.07 90.07 120.58
Fractional positions:
Mn1 0.0000 0.0000 0.0000
Mn2 0.1677 0.8323 0.5000
Mn3 0.3333 0.6667 0.0000
Mn4 0.6667 0.3333 0.0000
Mn5 0.8323 0.1677 0.5000
V1 0.5000 0.5000 0.5000
O1 0.0000 0.3332 0.1005
O2 0.0000 0.6668 0.8995
O3 0.1634 0.5051 0.6020
O4 0.1709 0.1709 0.3999
O5 0.3332 0.0000 0.1005
O6 0.3335 0.3335 0.8994
O7 0.4949 0.8366 0.3980
O8 0.5051 0.1634 0.6020
O9 0.6665 0.6665 0.1006
O10 0.6668 0.0000 0.8995
O11 0.8291 0.8291 0.6001
O12 0.8366 0.4949 0.3980

***

3.
Below is a relaxed structure of FeO2, with properties calculated at the PBE+U level.

a b c (Å): 4.6094 4.6094 2.9771
angles (deg): 90.00 90.00 90.00
Fractional positions:
Fe1 0.0000 0.0000 0.0000
Fe2 0.5000 0.5000 0.5000
O1 0.1905 0.1905 0.5000
O2 0.3095 0.6905 0.0000
O3 0.6905 0.3095 0.0000
O4 0.8095 0.8095 0.5000

***

4.
Below is a relaxed structure of LiLa4MnO8, with properties calculated at the PBE+U level.

a b c (Å): 7.6671 7.6669 13.4645
angles (deg): 73.46 90.00 90.00
Fractional positions:
Li1 0.7500 0.0000 0.5000
Li2 0.2500 0.5000 0.5000
Li3 0.5000 0.0000 0.0000
Li4 0.0000 0.5000 0.0000
La1 0.7500 0.8196 0.8607
La2 0.2500 0.3197 0.8607
La3 0.7500 0.1804 0.1393
La4 0.2500 0.6804 0.1393
La5 0.5000 0.8196 0.3607
La6 0.0000 0.3196 0.3607
La7 0.0000 0.6804 0.6393
La8 0.5000 0.1804 0.6393
La9 0.5000 0.6818 0.6364
La10 0.0000 0.1818 0.6364
La11 0.0000 0.8182 0.3636
La12 0.5000 0.3182 0.3636
La13 0.7500 0.6818 0.1364
La14 0.2500 0.1818 0.1364
La15 0.7500 0.3182 0.8636
La16 0.2500 0.8182 0.8636
Mn1 0.5000 0.5000 0.0000
Mn2 0.7500 0.5000 0.5000
Mn3 0.0000 0.0000 0.0000
Mn4 0.2500 0.0000 0.5000
O1 0.7500 0.9090 0.6820
O2 0.2500 0.4090 0.6820
O3 0.7500 0.0910 0.3180
O4 0.2500 0.5910 0.3180
O5 0.0000 0.5910 0.8180
O6 0.5000 0.0910 0.8180
O7 0.5000 0.9090 0.1820
O8 0.0000 0.4090 0.1820
O9 0.0000 0.9096 0.1809
O10 0.5000 0.4096 0.1808
O11 0.5000 0.5904 0.8192
O12 0.0000 0.0904 0.8192
O13 0.7500 0.5904 0.3192
O14 0.2500 0.0904 0.3192
O15 0.7500 0.4096 0.6808
O16 0.2500 0.9096 0.6809
O17 0.7500 0.2531 0.5000
O18 0.2500 0.7531 0.5000
O19 0.5000 0.2531 0.0000
O20 0.0000 0.7530 0.0000
O21 0.9970 0.5000 0.5000
O22 0.4969 0.0000 0.5000
O23 0.5030 0.5000 0.5000
O24 0.0030 0.0000 0.5000
O25 0.7531 0.0000 0.0000
O26 0.2531 0.5000 0.0000
O27 0.7500 0.7469 0.5000
O28 0.2500 0.2470 0.5000
O29 0.2470 0.0000 0.0000
O30 0.7470 0.5000 0.0000
O31 0.5000 0.7469 0.0000
O32 0.0000 0.2470 0.0000

***

5.
Below is a relaxed structure of MgFe6O6F6, with properties calculated at the PBE+U level.

Calculated values
The energy relative to the lowest polymorph listed for this composition comes out at 0.064 eV/atom.

a b c (Å): 5.2029 3.0521 14.7279
angles (deg): 90.00 98.00 90.00
Fractional positions:
Mg1 0.0000 0.0000 0.0000
Fe1 0.3511 0.0000 0.6550
Fe2 0.3733 0.0000 0.3394
Fe3 0.5150 0.0000 0.9758
Fe4 0.8586 0.5000 0.1908
Fe5 0.8639 0.5000 0.8058
Fe6 0.8891 0.5000 0.4873
O1 0.0544 0.0000 0.5711
O2 0.0566 0.0000 0.2428
O3 0.6824 0.0000 0.7542
O4 0.6915 0.0000 0.4338
O5 0.7592 0.5000 0.9286
O6 0.7596 0.0000 0.0929
F1 0.1612 0.0000 0.8810
F2 0.1786 0.5000 0.4125
F3 0.1926 0.5000 0.7328
F4 0.2523 0.5000 0.0329
F5 0.5260 0.5000 0.6029
F6 0.5548 0.5000 0.2544

***

6.
Below is a relaxed structure of NaZrSnWO6, with properties calculated at the PBE+U level.

a b c (Å): 5.7802 5.7802 5.7802
angles (deg): 60.00 60.00 60.00
Fractional positions:
Na1 0.0000 0.0000 0.0000
Zr1 0.7500 0.7500 0.7500
Sn1 0.5000 0.5000 0.5000
W1 0.2500 0.2500 0.2500
O1 0.0076 0.0076 0.4924
O2 0.0076 0.4924 0.0076
O3 0.0076 0.4924 0.4924
O4 0.4924 0.0076 0.0076
O5 0.4924 0.0076 0.4924
O6 0.4924 0.4924 0.0076

***

7.
Below is a relaxed structure of Ba2V3BiO11, with properties calculated at the PBE+U level.

Calculated values
The energy relative to the lowest polymorph listed for this composition comes out at 0.000 eV/atom.

a b c (Å): 12.5627 7.8454 11.5495
angles (deg): 90.00 103.26 90.00
Fractional positions:
Ba1 0.0544 0.2487 0.3895
Ba2 0.0544 0.2513 0.8895
Ba3 0.2674 0.7287 0.9419
Ba4 0.2674 0.7713 0.4419
Ba5 0.7326 0.2287 0.5581
Ba6 0.7326 0.2713 0.0581
Ba7 0.9456 0.7487 0.1105
Ba8 0.9456 0.7513 0.6105
V1 0.1827 0.0204 0.1741
V2 0.1827 0.4796 0.6741
V3 0.1863 0.0186 0.6697
V4 0.1863 0.4814 0.1697
V5 0.4032 0.2475 0.4757
V6 0.4032 0.2525 0.9757
V7 0.5968 0.7475 0.0243
V8 0.5968 0.7525 0.5243
V9 0.8137 0.5186 0.8303
V10 0.8137 0.9814 0.3303
V11 0.8173 0.5204 0.3259
V12 0.8173 0.9796 0.8259
Bi1 0.4982 0.5026 0.7325
Bi2 0.4982 0.9974 0.2325
Bi3 0.5018 0.0026 0.7675
Bi4 0.5018 0.4974 0.2675
O1 0.1063 0.5563 0.7674
O2 0.1063 0.9437 0.2674
O3 0.1114 0.5620 0.0390
O4 0.1114 0.9380 0.5390
O5 0.1249 0.5539 0.5355
O6 0.1249 0.9461 0.0355
O7 0.1304 0.5590 0.2798
O8 0.1304 0.9410 0.7798
O9 0.1667 0.2490 0.6676
O10 0.1667 0.2510 0.1676
O11 0.2839 0.1372 0.4462
O12 0.2839 0.3628 0.9462
O13 0.3149 0.5577 0.7221
O14 0.3149 0.9423 0.2221
O15 0.3197 0.5533 0.1874
O16 0.3197 0.9467 0.6874
O17 0.3781 0.0388 0.9720
O18 0.3781 0.4612 0.4720
O19 0.4827 0.2058 0.3668
O20 0.4827 0.2942 0.8668
O21 0.4866 0.2004 0.6214
O22 0.4866 0.2996 0.1214
O23 0.5134 0.7004 0.8786
O24 0.5134 0.7996 0.3786
O25 0.5173 0.7058 0.1332
O26 0.5173 0.7942 0.6332
O27 0.6219 0.5388 0.5280
O28 0.6219 0.9612 0.0280
O29 0.6803 0.0533 0.3126
O30 0.6803 0.4467 0.8126
O31 0.6851 0.0577 0.7779
O32 0.6851 0.4423 0.2779
O33 0.7161 0.6372 0.0538
O34 0.7161 0.8628 0.5538
O35 0.8333 0.7490 0.8324
O36 0.8333 0.7510 0.3324
O37 0.8696 0.0590 0.2202
O38 0.8696 0.4410 0.7202
O39 0.8751 0.0539 0.9645
O40 0.8751 0.4461 0.4645
O41 0.8886 0.0620 0.4610
O42 0.8886 0.4380 0.9610
O43 0.8937 0.0563 0.7326
O44 0.8937 0.4437 0.2326

***

8.
Below is a relaxed structure of Li2VOF3, with properties calculated at the PBE+U level.

Calculated values
The energy relative to the lowest polymorph listed for this composition comes out at 0.034 eV/atom.

a b c (Å): 5.7098 5.7098 5.2254
angles (deg): 90.27 90.27 61.91
Fractional positions:
Li1 0.0902 0.5000 0.4822
Li2 0.1935 0.1935 0.0046
Li3 0.5000 0.9098 0.5178
Li4 0.8065 0.8065 0.9954
V1 0.5390 0.4610 0.0000
V2 0.7999 0.2001 0.5000
O1 0.6402 0.1419 0.1927
O2 0.8581 0.3598 0.8073
F1 0.1553 0.1189 0.3631
F2 0.1575 0.5815 0.1340
F3 0.4185 0.8425 0.8660
F4 0.4226 0.3235 0.6765
F5 0.6765 0.5774 0.3235
F6 0.8811 0.8447 0.6369

***

9.
Below is a relaxed structure of KCo2Mo2O10, with properties calculated at the PBE+U level.

Calculated values
The energy relative to the lowest polymorph listed for this composition comes out at 0.002 eV/atom.

a b c (Å): 5.8189 5.8758 8.5428
angles (deg): 92.57 107.60 118.66
Fractional positions:
K1 0.0000 0.0000 0.0000
Co1 0.0000 0.0000 0.5000
Co2 0.5000 0.5000 0.5000
Mo1 0.1821 0.5629 0.7409
Mo2 0.8179 0.4371 0.2591
O1 0.0199 0.2079 0.7138
O2 0.0505 0.3321 0.3964
O3 0.2691 0.6962 0.9508
O4 0.3965 0.2047 0.5738
O5 0.4881 0.3169 0.2919
O6 0.5119 0.6831 0.7081
O7 0.6035 0.7953 0.4262
O8 0.7309 0.3038 0.0492
O9 0.9495 0.6679 0.6036
O10 0.9801 0.7921 0.2862

***

10.
Below is a relaxed structure of Mg6MnBO8, with properties calculated at the PBE+U level.

Calculated values
The energy relative to the lowest polymorph listed for this composition comes out at 0.014 eV/atom.

a b c (Å): 4.2523 4.2523 8.5523
angles (deg): 90.00 90.00 90.00
Fractional positions:
Mg1 0.0000 0.0000 0.0000
Mg2 0.0000 0.5000 0.2517
Mg3 0.0000 0.5000 0.7483
Mg4 0.5000 0.0000 0.2517
Mg5 0.5000 0.0000 0.7483
Mg6 0.5000 0.5000 0.0000
Mn1 0.0000 0.0000 0.5000
B1 0.5000 0.5000 0.5000
O1 0.0000 0.0000 0.2427
O2 0.0000 0.0000 0.7573
O3 0.0000 0.5000 0.0000
O4 0.0000 0.5000 0.5000
O5 0.5000 0.0000 0.0000
O6 0.5000 0.0000 0.5000
O7 0.5000 0.5000 0.2547
O8 0.5000 0.5000 0.7453

***

11.
Below is a relaxed structure of Li9Mn2Co5O16, with properties calculated at the PBE+U level.

Calculated values
The energy relative to the lowest polymorph listed for this composition comes out at 0.019 eV/atom.

a b c (Å): 5.1543 6.4440 8.5888
angles (deg): 96.97 94.47 95.99
Fractional positions:
Li1 0.0000 0.0000 0.0000
Li2 0.0000 0.2355 0.7437
Li3 0.0026 0.5055 0.5042
Li4 0.0065 0.7508 0.2606
Li5 0.2542 0.9356 0.5651
Li6 0.5037 0.1146 0.8698
Li7 0.5053 0.3713 0.6250
Li8 0.5047 0.6308 0.3853
Li9 0.5113 0.8795 0.1293
Mn1 0.7540 0.0596 0.4420
Mn2 0.7541 0.5615 0.9380
Co1 0.2534 0.6908 0.8094
Co2 0.2543 0.1867 0.3152
Co3 0.2547 0.4340 0.0668
Co4 0.7540 0.3110 0.1903
Co5 0.7538 0.8101 0.6907
O1 0.1082 0.2055 0.5143
O2 0.1078 0.9381 0.7771
O3 0.1111 0.6890 0.0184
O4 0.1411 0.4548 0.2739
O5 0.3675 0.1698 0.1034
O6 0.3958 0.4292 0.8629
O7 0.3982 0.9322 0.3500
O8 0.4017 0.6706 0.6181
O9 0.6426 0.3314 0.3991
O10 0.6436 0.5795 0.1505
O11 0.6473 0.8303 0.9059
O12 0.6488 0.0816 0.6504
O13 0.8581 0.7923 0.4769
O14 0.8604 0.5372 0.7295
O15 0.8642 0.2923 0.9785
O16 0.8659 0.0431 0.2271

***

12.
Below is a relaxed structure of Ho2MgMo2Cl2O8, with properties calculated at the PBE+U level.

Calculated values
The energy relative to the lowest polymorph listed for this composition comes out at 0.148 eV/atom.

a b c (Å): 6.3245 6.3245 6.6641
angles (deg): 93.83 93.83 66.82
Fractional positions:
Ho1 0.0000 0.0000 0.0000
Ho2 0.5873 0.5873 0.8259
Mg1 0.2947 0.2947 0.8481
Mo1 0.0982 0.0982 0.5598
Mo2 0.3946 0.3946 0.2416
Cl1 0.7511 0.7511 0.1318
Cl2 0.8501 0.8501 0.6525
O1 0.0182 0.0182 0.3179
O2 0.2270 0.2270 0.1230
O3 0.2728 0.6214 0.0167
O4 0.2786 0.2786 0.5295
O5 0.3114 0.9322 0.7675
O6 0.5130 0.5130 0.4566
O7 0.6214 0.2728 0.0167
O8 0.9322 0.3114 0.7675

***

| no. | calculated formation energy (eV/atom) |
| --- | --- |
| 1 | -3.003 |
| 2 | -1.870 |
| 3 | -1.277 |
| 4 | -3.346 |
| 5 | -2.080 |
| 6 | -2.389 |
| 7 | -2.653 |
| 8 | -2.954 |
| 9 | -1.629 |
| 10 | -2.452 |
| 11 | -1.845 |
| 12 | -2.434 |